[1]
Here is an optimized crystal structure of HoAlNi from the Materials Project. Energies are from PBE.

As for the formation energy: -0.5190 eV per atom. Its space-group type is Amm2.

POSCAR file:
```
HoAlNi
1.0
4.017 1.524 -3.270
3.981 -3.307 -1.109
-4.394 -3.009 -6.801
Ho Al Ni
4 4 4
Direct
0.340 0.320 0.542
0.670 0.659 0.432
0.670 0.659 0.068
0.340 0.320 0.958
0.836 0.327 0.750
0.334 0.827 0.750
0.838 0.827 0.750
0.143 0.713 0.250
0.662 0.186 0.250
0.152 0.186 0.250
0.007 0.987 0.511
0.007 0.987 0.989
```

[2]
Here is an optimized crystal structure of HoAlNi4 from the Materials Project. Energies are from PBE.

As for the formation energy: -0.4651 eV per atom. Its space-group type is P-6m2.

POSCAR file:
```
HoAlNi4
1.0
0.366 2.391 -4.398
-3.747 -3.245 0.788
-2.187 2.859 1.373
Ho Al Ni
1 1 4
Direct
0.667 0.333 0.000
0.000 0.000 0.000
0.333 0.667 0.000
0.168 0.337 0.500
0.663 0.832 0.500
0.168 0.832 0.500
```

| no. | theoretical density (g cm⁻³) | total energy (eV per cell) |
| --- | --- | --- |
| 1 | 7.84 | -62.66 |
| 2 | 8.43 | -34.24 |